Record 1
First-principles (PBE) data for a relaxed Ba6NaNdSi4O16 crystal, as listed in the Materials Project.

Values from the calculation:
Calculated formation energy ... -3.330 eV/atom
Total magnetic moment ... 0.000 μB/cell

a = 5.7834 Å, b = 7.4539 Å, c = 20.3339 Å
α = 90.00°, β = 90.00°, γ = 90.00°
With the nearest neighbours (Å) after each atom.
Sites, in units of the cell vectors:
O  0.2321  0.9716  0.0522  1 Si 1.65
O  0.2432  0.8742  0.5379  1 Si 1.69
O  0.7307  0.9521  0.3029  1 Si 1.63
O  0.0000  0.3510  0.3502  1 Si 1.63
O  0.5000  0.9733  0.4177  1 Si 1.71
O  0.5000  0.3598  0.0954  1 Si 1.66
O  0.0000  0.9550  0.1652  1 Si 1.66
O  0.0000  0.8510  0.6498  1 Si 1.63
O  0.0000  0.4550  0.8348  1 Si 1.66
O  0.5000  0.1636  0.6420  1 Si 1.65
O  0.0000  0.1598  0.5710  1 Si 1.63
O  0.7568  0.8742  0.5379  1 Si 1.69
O  0.5000  0.6602  0.1736  1 Si 1.64
O  0.7298  0.3583  0.2095  1 Si 1.66
O  0.2693  0.4521  0.6971  1 Si 1.63
O  0.7679  0.9716  0.0522  1 Si 1.65
O  0.2702  0.8583  0.7905  1 Si 1.66
O  0.5000  0.4733  0.5823  1 Si 1.71
O  0.5000  0.6636  0.3580  1 Si 1.65
O  0.5000  0.1602  0.8264  1 Si 1.64
O  0.5000  0.8598  0.9046  1 Si 1.66
O  0.7307  0.4521  0.6971  1 Si 1.63
O  0.7568  0.3742  0.4621  1 Si 1.69
O  0.0000  0.6598  0.4290  1 Si 1.63
O  0.2693  0.9521  0.3029  1 Si 1.63
O  0.0000  0.1669  0.9183  1 Si 1.64
O  0.7298  0.8583  0.7905  1 Si 1.66
O  0.2432  0.3742  0.4621  1 Si 1.69
O  0.2702  0.3583  0.2095  1 Si 1.66
O  0.7679  0.4716  0.9478  1 Si 1.65
O  0.2321  0.4716  0.9478  1 Si 1.65
O  0.0000  0.6669  0.0817  1 Si 1.64
Si  0.0000  0.8858  0.0877  4 O 1.64-1.66
Si  0.0000  0.3858  0.9123  4 O 1.64-1.66
Si  0.5000  0.3795  0.6590  4 O 1.63-1.71
Si  0.5000  0.4408  0.1716  4 O 1.64-1.66
Si  0.0000  0.9423  0.5768  4 O 1.63-1.69
Si  0.5000  0.8795  0.3410  4 O 1.63-1.71
Si  0.0000  0.4423  0.4232  4 O 1.63-1.69
Si  0.5000  0.9408  0.8284  4 O 1.64-1.66
Ba  0.0000  0.9984  0.4123  3 O 2.55-2.74
Ba  0.0000  0.1618  0.7569  5 O 2.70-2.93
Ba  0.5000  0.5050  0.8302  3 O 2.57-2.86
Ba  0.0000  0.4984  0.5877  3 O 2.55-2.74
Ba  0.0000  0.8239  0.9135  1 O 2.56
Ba  0.0000  0.3239  0.0865  1 O 2.56
Ba  0.0000  0.6618  0.2431  5 O 2.70-2.93
Ba  0.5000  0.1713  0.9712  7 O 2.69-2.94
Ba  0.5000  0.0050  0.1698  3 O 2.57-2.86
Ba  0.5000  0.8210  0.6703  5 O 2.62-2.93
Ba  0.5000  0.3210  0.3297  5 O 2.62-2.93
Ba  0.5000  0.6713  0.0288  7 O 2.69-2.94
Nd  0.5000  0.6677  0.4751  7 O 2.38-2.66
Nd  0.5000  0.1677  0.5249  7 O 2.38-2.66
Na  0.0000  0.1568  0.2528  6 O 2.33-2.45
Na  0.0000  0.6568  0.7472  6 O 2.33-2.45

Record 2
First-principles (PBE) data for a relaxed Ce2Tl3Sn3 crystal, as listed in the Materials Project.

Values from the calculation:
Calculated formation energy ... -0.402 eV/atom

a = 4.7123 Å, b = 4.8316 Å, c = 9.7023 Å
α = 90.00°, β = 90.00°, γ = 90.00°
With the nearest neighbours (Å) after each atom.
Sites, in units of the cell vectors:
Tl  0.0000  0.5000  0.5000  4 Tl 3.37, 4 Sn 3.41, 4 Ce 3.50
Tl  0.0000  0.5000  0.0000  4 Ce 3.35, 8 Sn 3.36-3.37
Tl  0.5000  0.0000  0.5000  4 Tl 3.37, 4 Sn 3.45, 4 Ce 3.46
Ce  0.0000  0.0000  0.2391  6 Sn 3.31-3.38, 6 Tl 3.35-3.50
Ce  0.0000  0.0000  0.7609  6 Sn 3.31-3.38, 6 Tl 3.35-3.50
Sn  0.5000  0.0000  0.0000  4 Ce 3.31, 4 Tl 3.37, 4 Sn 3.40
Sn  0.5000  0.5000  0.7534  6 Tl 3.36-3.45, 4 Ce 3.38, 2 Sn 3.40
Sn  0.5000  0.5000  0.2466  6 Tl 3.36-3.45, 4 Ce 3.38, 2 Sn 3.40

Record 3
First-principles (PBE) data for a relaxed HfNiSb crystal, as listed in the Materials Project.

Values from the calculation:
Calculated formation energy ... 0.070 eV/atom
Total magnetic moment ... 0.336 μB/cell

a = 4.4477 Å, b = 4.4477 Å, c = 4.4477 Å
α = 60.00°, β = 60.00°, γ = 60.00°
With the nearest neighbours (Å) after each atom.
Sites, in units of the cell vectors:
Hf  0.0000  0.0000  0.0000  4 Sb 2.72
Sb  0.7500  0.7500  0.7500  4 Ni 2.72, 4 Hf 2.72
Ni  0.5000  0.5000  0.5000  4 Sb 2.72

Number 1: E -0.2634 hartree per atom. Number 2: E -0.1571 hartree per atom. Number 3: E -0.2384 hartree per atom.